No. 1
VASP calculation (PBE) on an optimized crystal structure of Se2NCl3.

Lattice parameters (Å, degrees): 8.3782 26.2834 13.3675 90.00 90.00 90.00
Sites, in units of the cell vectors:
Se (0.0652, 0.1038, 0.1909)
Se (0.0652, 0.3962, 0.6909)
Se (0.0892, 0.6262, 0.7026)
Se (0.0892, 0.8738, 0.2026)
Se (0.2219, 0.0627, 0.5547)
Se (0.2219, 0.4373, 0.0547)
Se (0.2226, 0.1956, 0.0965)
Se (0.2226, 0.3044, 0.5965)
Se (0.2774, 0.6956, 0.0965)
Se (0.2774, 0.8044, 0.5965)
Se (0.2781, 0.5627, 0.5547)
Se (0.2781, 0.9373, 0.0547)
Se (0.4108, 0.1262, 0.7026)
Se (0.4108, 0.3738, 0.2026)
Se (0.4348, 0.6038, 0.1909)
Se (0.4348, 0.8962, 0.6909)
Se (0.5652, 0.1038, 0.3091)
Se (0.5652, 0.3962, 0.8091)
Se (0.5892, 0.6262, 0.7974)
Se (0.5892, 0.8738, 0.2974)
Se (0.7219, 0.0627, 0.9453)
Se (0.7219, 0.4373, 0.4453)
Se (0.7226, 0.1956, 0.4035)
Se (0.7226, 0.3044, 0.9035)
Se (0.7774, 0.6956, 0.4035)
Se (0.7774, 0.8044, 0.9035)
Se (0.7781, 0.5627, 0.9453)
Se (0.7781, 0.9373, 0.4453)
Se (0.9108, 0.1262, 0.7974)
Se (0.9108, 0.3738, 0.2974)
Se (0.9348, 0.6038, 0.3091)
Se (0.9348, 0.8962, 0.8091)
N (0.2248, 0.1102, 0.6482)
N (0.2248, 0.3898, 0.1482)
N (0.2417, 0.1382, 0.1644)
N (0.2417, 0.3618, 0.6644)
N (0.2583, 0.6382, 0.1644)
N (0.2583, 0.8618, 0.6644)
N (0.2752, 0.6102, 0.6482)
N (0.2752, 0.8898, 0.1482)
N (0.7248, 0.1102, 0.8518)
N (0.7248, 0.3898, 0.3518)
N (0.7417, 0.1382, 0.3356)
N (0.7417, 0.3618, 0.8356)
N (0.7583, 0.6382, 0.3356)
N (0.7583, 0.8618, 0.8356)
N (0.7752, 0.6102, 0.8518)
N (0.7752, 0.8898, 0.3518)
Cl (0.0146, 0.7126, 0.1004)
Cl (0.0146, 0.7874, 0.6004)
Cl (0.0296, 0.0576, 0.9128)
Cl (0.0296, 0.4424, 0.4128)
Cl (0.0421, 0.5700, 0.9702)
Cl (0.0421, 0.9300, 0.4702)
Cl (0.0818, 0.6736, 0.4044)
Cl (0.0818, 0.8264, 0.9044)
Cl (0.1999, 0.6873, 0.8006)
Cl (0.1999, 0.8127, 0.3006)
Cl (0.2030, 0.0413, 0.2734)
Cl (0.2030, 0.4587, 0.7734)
Cl (0.2970, 0.5413, 0.2734)
Cl (0.2970, 0.9587, 0.7734)
Cl (0.3001, 0.1873, 0.8006)
Cl (0.3001, 0.3127, 0.3006)
Cl (0.4182, 0.1736, 0.4044)
Cl (0.4182, 0.3264, 0.9044)
Cl (0.4579, 0.0700, 0.9702)
Cl (0.4579, 0.4300, 0.4702)
Cl (0.4704, 0.5576, 0.9128)
Cl (0.4704, 0.9424, 0.4128)
Cl (0.4854, 0.2126, 0.1004)
Cl (0.4854, 0.2874, 0.6004)
Cl (0.5146, 0.7126, 0.3996)
Cl (0.5146, 0.7874, 0.8996)
Cl (0.5296, 0.0576, 0.5872)
Cl (0.5296, 0.4424, 0.0872)
Cl (0.5421, 0.5700, 0.5298)
Cl (0.5421, 0.9300, 0.0298)
Cl (0.5818, 0.6736, 0.0956)
Cl (0.5818, 0.8264, 0.5956)
Cl (0.6999, 0.6873, 0.6994)
Cl (0.6999, 0.8127, 0.1994)
Cl (0.7030, 0.0413, 0.2266)
Cl (0.7030, 0.4587, 0.7266)
Cl (0.7970, 0.5413, 0.2266)
Cl (0.7970, 0.9587, 0.7266)
Cl (0.8001, 0.1873, 0.6994)
Cl (0.8001, 0.3127, 0.1994)
Cl (0.9182, 0.1736, 0.0956)
Cl (0.9182, 0.3264, 0.5956)
Cl (0.9579, 0.0700, 0.5298)
Cl (0.9579, 0.4300, 0.0298)
Cl (0.9704, 0.5576, 0.5872)
Cl (0.9704, 0.9424, 0.0872)
Cl (0.9854, 0.2126, 0.3996)
Cl (0.9854, 0.2874, 0.8996)

Output
Relative energy among the computed polymorphs: 0 meV per atom
DFT total energy: -331.45 eV for the cell shown
Formation enthalpy at 0 K: -0.2807 eV/atom
Space group: Pbca

---

No. 2
VASP calculation (PBE) on an optimized crystal structure of NpPt.

Lattice parameters (Å, degrees): 3.8260 10.5981 4.4037 90.00 90.00 90.00
Sites, in units of the cell vectors:
Np (0.0000, 0.1415, 0.2500)
Np (0.0000, 0.8585, 0.7500)
Np (0.5000, 0.3585, 0.7500)
Np (0.5000, 0.6415, 0.2500)
Pt (0.0000, 0.4113, 0.2500)
Pt (0.0000, 0.5887, 0.7500)
Pt (0.5000, 0.0887, 0.7500)
Pt (0.5000, 0.9113, 0.2500)

Output
DFT total energy: -79.73 eV for the cell shown
Formation enthalpy at 0 K: -0.4569 eV/atom
Space group: Cmcm

---

No. 3
VASP calculation (PBE) on an optimized crystal structure of Na5Y4Si4O16F.

Lattice parameters (Å, degrees): 8.7073 8.7073 8.7073 95.63 95.63 143.48
Sites, in units of the cell vectors:
Na (0.0000, 0.0000, 0.0000)
Na (0.0954, 0.4010, 0.5155)
Na (0.4201, 0.9046, 0.3057)
Na (0.5990, 0.1144, 0.6943)
Na (0.8856, 0.5799, 0.4845)
Y (0.2938, 0.5922, 0.9334)
Y (0.4078, 0.3412, 0.7016)
Y (0.6396, 0.7062, 0.2984)
Y (0.6588, 0.3604, 0.0666)
Si (0.1143, 0.7637, 0.8563)
Si (0.2363, 0.0926, 0.3507)
Si (0.7420, 0.8857, 0.6493)
Si (0.9074, 0.2580, 0.1437)
O (0.0471, 0.1854, 0.7645)
O (0.0929, 0.5962, 0.7221)
O (0.1375, 0.1694, 0.4394)
O (0.2241, 0.4641, 0.1730)
O (0.2911, 0.0511, 0.8270)
O (0.3019, 0.8625, 0.0319)
O (0.4038, 0.1259, 0.4966)
O (0.4209, 0.2826, 0.2355)
O (0.5359, 0.7089, 0.7600)
O (0.6293, 0.9071, 0.5034)
O (0.7174, 0.9529, 0.1383)
O (0.7300, 0.6981, 0.5606)
O (0.8146, 0.5791, 0.8617)
O (0.8306, 0.2700, 0.9681)
O (0.8741, 0.3707, 0.2779)
O (0.9489, 0.7759, 0.2400)
F (0.5000, 0.5000, 0.0000)

Output
DFT total energy: -223.06 eV for the cell shown
Formation enthalpy at 0 K: -3.3084 eV/atom
Space group: I-4

---

No. 4
VASP calculation (PBE) on an optimized crystal structure of Ni4B3.

Lattice parameters (Å, degrees): 11.9104 2.9920 6.5708 90.00 90.00 90.00
Sites, in units of the cell vectors:
Ni (0.0490, 0.2500, 0.2496)
Ni (0.1245, 0.2500, 0.6661)
Ni (0.1487, 0.7500, 0.9894)
Ni (0.1998, 0.7500, 0.3769)
Ni (0.3002, 0.2500, 0.8769)
Ni (0.3513, 0.2500, 0.4894)
Ni (0.3755, 0.7500, 0.1661)
Ni (0.4510, 0.7500, 0.7496)
Ni (0.5490, 0.2500, 0.2504)
Ni (0.6245, 0.2500, 0.8339)
Ni (0.6487, 0.7500, 0.5106)
Ni (0.6998, 0.7500, 0.1231)
Ni (0.8002, 0.2500, 0.6231)
Ni (0.8513, 0.2500, 0.0106)
Ni (0.8755, 0.7500, 0.3339)
Ni (0.9510, 0.7500, 0.7504)
B (0.0250, 0.2500, 0.9373)
B (0.0383, 0.7500, 0.4776)
B (0.2413, 0.2500, 0.1784)
B (0.2587, 0.7500, 0.6784)
B (0.4617, 0.2500, 0.9776)
B (0.4750, 0.7500, 0.4373)
B (0.5250, 0.2500, 0.5627)
B (0.5383, 0.7500, 0.0224)
B (0.7413, 0.2500, 0.3216)
B (0.7587, 0.7500, 0.8216)
B (0.9617, 0.2500, 0.5224)
B (0.9750, 0.7500, 0.0627)

Output
DFT total energy: -180.48 eV for the cell shown
Formation enthalpy at 0 K: -0.2801 eV/atom
Space group: Pnma

---

No. 5
VASP calculation (PBE) on an optimized crystal structure of Ba6Sn7S20.

Lattice parameters (Å, degrees): 12.8571 12.8571 23.5024 90.10 90.10 29.27
Sites, in units of the cell vectors:
Ba (0.0436, 0.6448, 0.7009)
Ba (0.0531, 0.4196, 0.1009)
Ba (0.2061, 0.7192, 0.9244)
Ba (0.2808, 0.7939, 0.5756)
Ba (0.3552, 0.9564, 0.7991)
Ba (0.4196, 0.0531, 0.6009)
Ba (0.5804, 0.9469, 0.3991)
Ba (0.6448, 0.0436, 0.2009)
Ba (0.7192, 0.2061, 0.4244)
Ba (0.7939, 0.2808, 0.0756)
Ba (0.9469, 0.5804, 0.8991)
Ba (0.9564, 0.3552, 0.2991)
Sn (0.1227, 0.5923, 0.3245)
Sn (0.1263, 0.5267, 0.4997)
Sn (0.3097, 0.5147, 0.0983)
Sn (0.3484, 0.6516, 0.2500)
Sn (0.4077, 0.8773, 0.1755)
Sn (0.4733, 0.8737, 0.0003)
Sn (0.4853, 0.6903, 0.4017)
Sn (0.5147, 0.3097, 0.5983)
Sn (0.5267, 0.1263, 0.9997)
Sn (0.5923, 0.1227, 0.8245)
Sn (0.6516, 0.3484, 0.7500)
Sn (0.6903, 0.4853, 0.9017)
Sn (0.8737, 0.4733, 0.5003)
Sn (0.8773, 0.4077, 0.6755)
S (0.0220, 0.2377, 0.5785)
S (0.0215, 0.8534, 0.2866)
S (0.0665, 0.4122, 0.4309)
S (0.1190, 0.3224, 0.7128)
S (0.1350, 0.6698, 0.5716)
S (0.1367, 0.5551, 0.1659)
S (0.1466, 0.9785, 0.2134)
S (0.1736, 0.5080, 0.0052)
S (0.2377, 0.0220, 0.0785)
S (0.2386, 0.4918, 0.8303)
S (0.2460, 0.7353, 0.0566)
S (0.2647, 0.7540, 0.4434)
S (0.3224, 0.1190, 0.2128)
S (0.3302, 0.8650, 0.9284)
S (0.3747, 0.5563, 0.6815)
S (0.4122, 0.0665, 0.9309)
S (0.4437, 0.6253, 0.8185)
S (0.4449, 0.8633, 0.3341)
S (0.4918, 0.2386, 0.3303)
S (0.4920, 0.8264, 0.4948)
S (0.5080, 0.1736, 0.5052)
S (0.5082, 0.7614, 0.6697)
S (0.5551, 0.1367, 0.6659)
S (0.5563, 0.3747, 0.1815)
S (0.5878, 0.9335, 0.0691)
S (0.6253, 0.4437, 0.3185)
S (0.6698, 0.1350, 0.0716)
S (0.6776, 0.8810, 0.7872)
S (0.7353, 0.2460, 0.5566)
S (0.7540, 0.2647, 0.9434)
S (0.7614, 0.5082, 0.1697)
S (0.7623, 0.9780, 0.9215)
S (0.8264, 0.4920, 0.9948)
S (0.8534, 0.0215, 0.7866)
S (0.8633, 0.4449, 0.8341)
S (0.8650, 0.3302, 0.4284)
S (0.8810, 0.6776, 0.2872)
S (0.9335, 0.5878, 0.5691)
S (0.9785, 0.1466, 0.7134)
S (0.9780, 0.7623, 0.4215)

Output
DFT total energy: -313.47 eV for the cell shown
Formation enthalpy at 0 K: -1.3481 eV/atom
Space group: C2/c